*w*
Compound: Na4MgNi2O6
Source: Materials Project
Functional: PBE+U
Structure: relaxed

a = 5.367 Å, b = 10.128 Å, c = 6.174 Å
α = 90.00°, β = 101.46°, γ = 90.00°
Space group Cm (No. 8)
Unique sites:
Na1 0.000 0.000 0.000 (multiplicity 2)
Na2 0.123 0.320 0.165 (multiplicity 4)
Na3 0.187 0.500 0.628 (multiplicity 2)
Mg1 0.208 0.000 0.437 (multiplicity 2)
Ni1 0.114 0.197 0.661 (multiplicity 4)
O1 0.238 0.000 0.757 (multiplicity 2)
O2 0.354 0.500 0.308 (multiplicity 2)
O3 0.358 0.181 0.459 (multiplicity 4)
O4 0.375 0.304 0.848 (multiplicity 4)

*x*
Compound: Na4MgNi2O6
Source: Materials Project
Functional: PBE+U
Structure: relaxed

a = 5.190 Å, b = 9.447 Å, c = 6.740 Å
α = 90.00°, β = 108.96°, γ = 90.00°
Space group Cm (No. 8)
Unique sites:
Na1 0.000 0.000 0.000 (multiplicity 2)
Na2 0.035 0.500 0.163 (multiplicity 2)
Na3 0.241 0.196 0.368 (multiplicity 4)
Mg1 0.451 0.500 0.600 (multiplicity 2)
Ni1 0.020 0.313 0.841 (multiplicity 4)
O1 0.244 0.332 0.663 (multiplicity 4)
O2 0.323 0.210 0.033 (multiplicity 4)
O3 0.344 0.000 0.778 (multiplicity 2)
O4 0.472 0.500 0.322 (multiplicity 2)

It is *x* that is the most stable of them.

*w*
Compound: Na4MgNi2O6
Source: Materials Project
Functional: PBE+U
Structure: relaxed

a = 5.492 Å, b = 5.584 Å, c = 5.757 Å
α = 101.25°, β = 107.50°, γ = 108.64°
Space group P-1 (No. 2)
Unique sites:
Na1 0.000 0.000 0.000 (multiplicity 1)
Na2 0.000 0.000 0.500 (multiplicity 1)
Na3 0.471 0.190 0.391 (multiplicity 2)
Mg1 0.000 0.500 0.500 (multiplicity 1)
Ni1 0.291 0.605 0.001 (multiplicity 2)
O1 0.139 0.723 0.241 (multiplicity 2)
O2 0.195 0.817 0.792 (multiplicity 2)
O3 0.422 0.456 0.753 (multiplicity 2)

*x*
Compound: Na4MgNi2O6
Source: Materials Project
Functional: PBE+U
Structure: relaxed

a = 5.647 Å, b = 6.058 Å, c = 6.282 Å
α = 116.59°, β = 93.68°, γ = 112.54°
Space group P1 (No. 1)
Unique sites:
Na1 0.000 0.000 0.000 (multiplicity 1)
Na2 0.136 0.101 0.556 (multiplicity 1)
Na3 0.562 0.358 0.291 (multiplicity 1)
Na4 0.827 0.384 0.737 (multiplicity 1)
Mg1 0.369 0.773 0.684 (multiplicity 1)
Ni1 0.063 0.560 0.279 (multiplicity 1)
Ni2 0.535 0.751 0.156 (multiplicity 1)
O1 0.191 0.436 0.990 (multiplicity 1)
O2 0.207 0.387 0.403 (multiplicity 1)
O3 0.464 0.935 0.463 (multiplicity 1)
O4 0.586 0.972 0.018 (multiplicity 1)
O5 0.816 0.656 0.137 (multiplicity 1)
O6 0.985 0.707 0.593 (multiplicity 1)

It is *x* that is the most stable of them.

*w*
Compound: Na6MgNi2O6
Source: Materials Project
Functional: PBE+U
Structure: relaxed

a = 5.805 Å, b = 6.107 Å, c = 6.174 Å
α = 111.14°, β = 91.43°, γ = 95.42°
Space group P-1 (No. 2)
Unique sites:
Na1 0.038 0.444 0.224 (multiplicity 2)
Na2 0.220 0.989 0.123 (multiplicity 2)
Na3 0.394 0.695 0.650 (multiplicity 2)
Mg1 0.000 0.000 0.500 (multiplicity 1)
Ni1 0.379 0.304 0.810 (multiplicity 2)
O1 0.183 0.012 0.778 (multiplicity 2)
O2 0.230 0.292 0.500 (multiplicity 2)
O3 0.304 0.619 0.041 (multiplicity 2)

*x*
Compound: Na6MgNi2O6
Source: Materials Project
Functional: PBE+U
Structure: relaxed

a = 6.164 Å, b = 6.409 Å, c = 6.507 Å
α = 118.20°, β = 90.40°, γ = 90.62°
Space group P-1 (No. 2)
Unique sites:
Na1 0.127 0.334 0.340 (multiplicity 2)
Na2 0.215 0.881 0.350 (multiplicity 2)
Na3 0.218 0.073 0.879 (multiplicity 2)
Mg1 0.000 0.500 0.000 (multiplicity 1)
Ni1 0.368 0.520 0.842 (multiplicity 2)
O1 0.146 0.772 0.953 (multiplicity 2)
O2 0.147 0.265 0.653 (multiplicity 2)
O3 0.319 0.476 0.139 (multiplicity 2)

It is *w* that is the most stable of them.